First-principles (GGA+U) data for a geometry-optimized V3P4Pb2O17 structure, as listed in the Materials Project.

Summary:
ρ = 4.55 g/cm³
Formation enthalpy at 0 K = -238 kJ/mol of atoms

Lattice parameters (Å, degrees): 12.8759 12.8759 9.5282 108.61 108.61 90.94
Last column: nearest neighbours and their distance in Å.
Element x y z (fractional)
V  0.0557  0.9443  0.7500  6 O 1.98-2.09
V  0.0569  0.4371  0.7470  6 O 1.99-2.11
V  0.1574  0.7368  0.9455  1 O 1.64
V  0.2632  0.8426  0.5545  1 O 1.64
V  0.4371  0.0569  0.2470  6 O 1.99-2.11
V  0.4388  0.5612  0.2500  6 O 2.00-2.14
V  0.5612  0.4388  0.7500  6 O 2.00-2.14
V  0.5629  0.9431  0.7530  6 O 1.99-2.11
V  0.7368  0.1574  0.4455  1 O 1.64
V  0.8426  0.2632  0.0545  1 O 1.64
V  0.9431  0.5629  0.2530  6 O 1.99-2.11
V  0.9443  0.0557  0.2500  6 O 1.98-2.09
P  0.0023  0.3335  0.3513  4 O 1.52-1.60
P  0.0037  0.1619  0.6294  4 O 1.53-1.57
P  0.1619  0.0037  0.1294  4 O 1.53-1.57
P  0.1617  0.5599  0.1356  4 O 1.53-1.57
P  0.3318  0.4444  0.8427  4 O 1.55-1.57
P  0.3335  0.0023  0.8513  4 O 1.52-1.60
P  0.4401  0.8383  0.3644  4 O 1.53-1.57
P  0.4444  0.3318  0.3427  4 O 1.55-1.57
P  0.5556  0.6682  0.6573  4 O 1.55-1.57
P  0.5599  0.1617  0.6356  4 O 1.53-1.57
P  0.6665  0.9977  0.1487  4 O 1.52-1.60
P  0.6682  0.5556  0.1573  4 O 1.55-1.57
P  0.8383  0.4401  0.8644  4 O 1.53-1.57
P  0.8381  0.9963  0.8706  4 O 1.53-1.57
P  0.9963  0.8381  0.3706  4 O 1.53-1.57
P  0.9977  0.6665  0.6487  4 O 1.52-1.60
Pb  0.2046  0.2553  0.9682  4 O 2.43-2.65
Pb  0.2553  0.2046  0.4682  4 O 2.43-2.65
Pb  0.2628  0.5152  0.4829  6 O 2.51-2.79
Pb  0.4848  0.7372  0.0171  6 O 2.51-2.79
Pb  0.5152  0.2628  0.9829  6 O 2.51-2.79
Pb  0.7372  0.4848  0.5171  6 O 2.51-2.79
Pb  0.7447  0.7954  0.5318  4 O 2.43-2.65
Pb  0.7954  0.7447  0.0318  4 O 2.43-2.65
O  0.0218  0.6169  0.4970  1 P 1.52
O  0.0331  0.1321  0.4793  1 P 1.53
O  0.0529  0.6051  0.7702  1 P 1.60
O  0.0622  0.0933  0.7332  1 P 1.56
O  0.0645  0.2807  0.7389  1 P 1.57
O  0.0652  0.7849  0.7618  1 P 1.60
O  0.0933  0.0622  0.2332  1 P 1.56
O  0.0962  0.5576  0.2467  1 P 1.56
O  0.1210  0.4582  0.9829  1 P 1.54
O  0.1210  0.8490  0.4030  1 P 1.53
O  0.1256  0.3314  0.3758  1 P 1.53
O  0.1321  0.0331  0.9793  1 P 1.53
O  0.1510  0.8790  0.0970  1 P 1.53
O  0.1575  0.6686  0.1018  1 P 1.53
O  0.2137  0.4630  0.7514  1 P 1.56
O  0.2151  0.9348  0.7382  1 P 1.60
O  0.2686  0.7215  0.5769  1 V 1.64
O  0.2785  0.7314  0.9231  1 V 1.64
O  0.2807  0.0645  0.2389  1 P 1.57
O  0.2808  0.5466  0.2359  1 P 1.57
O  0.3269  0.3299  0.8653  1 P 1.56
O  0.3299  0.3269  0.3653  1 P 1.56
O  0.3314  0.1256  0.8758  1 P 1.53
O  0.3314  0.8425  0.3982  1 P 1.53
O  0.3831  0.9782  0.0030  1 P 1.52
O  0.3896  0.5367  0.0037  1 P 1.55
O  0.3949  0.9471  0.7298  1 P 1.60
O  0.3976  0.4405  0.7284  1 P 1.57
O  0.4405  0.3976  0.2284  1 P 1.57
O  0.4424  0.9038  0.2533  1 P 1.56
O  0.4534  0.7192  0.2641  1 P 1.57
O  0.4582  0.1210  0.4829  1 P 1.54
O  0.4630  0.2137  0.2514  1 P 1.56
O  0.4633  0.6104  0.4963  1 P 1.55
O  0.5367  0.3896  0.5037  1 P 1.55
O  0.5370  0.7863  0.7486  1 P 1.56
O  0.5418  0.8790  0.5171  1 P 1.54
O  0.5466  0.2808  0.7359  1 P 1.57
O  0.5576  0.0962  0.7467  1 P 1.56
O  0.5595  0.6024  0.7716  1 P 1.57
O  0.6024  0.5595  0.2716  1 P 1.57
O  0.6051  0.0529  0.2702  1 P 1.60
O  0.6104  0.4633  0.9963  1 P 1.55
O  0.6169  0.0218  0.9970  1 P 1.52
O  0.6686  0.1575  0.6018  1 P 1.53
O  0.6687  0.8744  0.1242  1 P 1.53
O  0.6701  0.6731  0.6347  1 P 1.56
O  0.6731  0.6701  0.1347  1 P 1.56
O  0.7192  0.4534  0.7641  1 P 1.57
O  0.7193  0.9355  0.7611  1 P 1.57
O  0.7215  0.2686  0.0769  1 V 1.64
O  0.7314  0.2785  0.4231  1 V 1.64
O  0.7849  0.0652  0.2618  1 P 1.60
O  0.7863  0.5370  0.2486  1 P 1.56
O  0.8425  0.3314  0.8982  1 P 1.53
O  0.8490  0.1210  0.9030  1 P 1.53
O  0.8679  0.9669  0.0207  1 P 1.53
O  0.8744  0.6687  0.6242  1 P 1.53
O  0.8790  0.1510  0.5970  1 P 1.53
O  0.8790  0.5418  0.0171  1 P 1.54
O  0.9038  0.4424  0.7533  1 P 1.56
O  0.9067  0.9378  0.7668  1 P 1.56
O  0.9348  0.2151  0.2382  1 P 1.60
O  0.9355  0.7193  0.2611  1 P 1.57
O  0.9378  0.9067  0.2668  1 P 1.56
O  0.9471  0.3949  0.2298  1 P 1.60
O  0.9669  0.8679  0.5207  1 P 1.53
O  0.9782  0.3831  0.5030  1 P 1.52